DFT (GGA-PBE) results for an optimized crystal structure of BaCu9Ge4.

Lattice parameters (Å, degrees): 8.374 8.374 12.062 90.00 90.00 90.00
Space group I4/mcm (No. 140)
Inequivalent atoms, fractional coordinates:
1 Ba 0.000 0.000 0.250 x4
2 Cu 0.000 0.500 0.000 x4
3 Cu 0.062 0.204 0.000 x16
4 Cu 0.117 0.383 0.178 x16
5 Ge 0.179 0.321 0.379 x16

Calculated values
final energy	-4.2386	eV per atom
energy of formation	-0.145	eV/atom